Compound: Ba2Sn
Source: the Materials Project database
Functional: meta-GGA r2SCAN
Structure: relaxed

Output
E_tot, eV for the cell shown: -319.42

Cell and atoms, written as POSCAR:
```
Ba2Sn
1.0
-1.978 -5.322 -0.361
8.113 -2.872 -2.126
2.177 -1.512 10.350
Sn Ba
4 8
Direct
0.250 0.249 0.398
0.250 0.749 0.102
0.750 0.251 0.898
0.750 0.751 0.602
0.750 0.979 0.322
0.750 0.347 0.580
0.250 0.153 0.080
0.750 0.847 0.920
0.750 0.479 0.178
0.250 0.653 0.420
0.250 0.021 0.678
0.250 0.521 0.822
```